VCo4N4: relaxed, PBE.

Lattice parameters (Å, degrees): 4.865 4.932 7.527 73.39 82.09 70.01
Fractional positions:
V: 0.218 0.358 0.273
V: 0.782 0.642 0.727
Co: 0.243 0.957 0.098
Co: 0.245 0.763 0.453
Co: 0.247 0.542 0.897
Co: 0.255 0.110 0.713
Co: 0.745 0.890 0.287
Co: 0.753 0.458 0.103
Co: 0.755 0.237 0.547
Co: 0.757 0.043 0.902
N: 0.007 0.295 0.901
N: 0.037 0.870 0.687
N: 0.357 0.347 0.498
N: 0.491 0.216 0.089
N: 0.509 0.784 0.911
N: 0.643 0.653 0.502
N: 0.963 0.130 0.313
N: 0.993 0.705 0.099

Results
The raw total energy is -141.52 eV/cell. The calculation puts the calculated volume at 9.03 Å³ per atom. The value obtained for the energy with MP2020 corrections is -144.4 eV for the cell shown. Its energy relative to the elements is -0.149 eV/atom. The magnetic moment comes out at 0.02 μB per cell. As for the space group: P-1, No. 2.